Record 1
# KUHSeO7

KUHSeO7 after structural relaxation (GGA-PBE, Materials Project).

* calculated total energy: -6.28 eV per atom
* E_form: -1.81 eV/atom
* total magnetic moment: 0.01 μB/f.u.

CIF file:
```
data_KUHSeO7
_chemical_formula_sum 'K4 U4 H4 Se4 O28'
_space_group_name_H-M_alt 'P 1 21/c 1'
_space_group_IT_number 14
_cell_length_a 8.475
_cell_length_b 8.172
_cell_length_c 12.160
_cell_angle_alpha 90.00
_cell_angle_beta 109.61
_cell_angle_gamma 90.00
loop_
_space_group_symop_operation_xyz
'x,y,z'
'-x,-y,-z'
'-x,y+1/2,-z+1/2'
'x,-y+1/2,z+1/2'
loop_
_atom_site_label
_atom_site_fract_x
_atom_site_fract_y
_atom_site_fract_z
K1 0.056 0.036 0.278
U1 0.454 0.076 0.729
H1 0.293 0.229 0.027
Se1 0.176 0.745 0.038
O1 0.037 0.709 0.602
O2 0.105 0.739 0.395
O3 0.242 0.548 0.072
O4 0.283 0.142 0.781
O5 0.346 0.630 0.593
O6 0.392 0.534 0.843
O7 0.493 0.662 0.295
```



Record 2
# Zr2Cu3Sb3

Zr2Cu3Sb3 after structural relaxation (GGA-PBE, Materials Project).

* calculated total energy: -5.43 eV per atom
* E_form: -0.28 eV/atom
* total magnetic moment: 0.00 μB/f.u.

CIF file:
```
data_Zr2Cu3Sb3
_chemical_formula_sum 'Zr2 Cu3 Sb3'
_space_group_name_H-M_alt 'P 4 m m'
_space_group_IT_number 99
_cell_length_a 4.270
_cell_length_b 4.270
_cell_length_c 8.579
_cell_angle_alpha 90.00
_cell_angle_beta 90.00
_cell_angle_gamma 90.00
loop_
_space_group_symop_operation_xyz
'x,y,z'
'-y,x,z'
'-x,-y,z'
'y,-x,z'
'-x,y,z'
'y,x,z'
'x,-y,z'
'-y,-x,z'
loop_
_atom_site_label
_atom_site_fract_x
_atom_site_fract_y
_atom_site_fract_z
Zr1 0.000 0.000 0.000
Zr2 0.500 0.500 0.470
Cu1 0.000 0.500 0.210
Cu2 0.500 0.500 0.061
Sb1 0.000 0.000 0.391
Sb2 0.000 0.500 0.747
```



Record 3
# CuH38C12S8O14

CuH38C12S8O14 after structural relaxation (GGA-PBE, Materials Project).

* calculated total energy: -5.18 eV per atom
* E_form: -0.57 eV/atom
* total magnetic moment: 1.00 μB/f.u.

CIF file:
```
data_CuH38C12S8O14
_chemical_formula_sum 'Cu1 H38 C12 S8 O14'
_space_group_name_H-M_alt 'P -1'
_space_group_IT_number 2
_cell_length_a 8.474
_cell_length_b 9.749
_cell_length_c 9.840
_cell_angle_alpha 81.75
_cell_angle_beta 88.90
_cell_angle_gamma 88.71
loop_
_space_group_symop_operation_xyz
'x,y,z'
'-x,-y,-z'
loop_
_atom_site_label
_atom_site_fract_x
_atom_site_fract_y
_atom_site_fract_z
Cu1 0.000 0.000 0.000
H1 0.030 0.350 0.754
H2 0.033 0.721 0.396
H3 0.052 0.781 0.703
H4 0.066 0.358 0.338
H5 0.085 0.609 0.791
H6 0.101 0.073 0.518
H7 0.118 0.521 0.048
H8 0.156 0.364 0.604
H9 0.270 0.482 0.175
H10 0.273 0.979 0.596
H11 0.288 0.158 0.515
H12 0.289 0.965 0.314
H13 0.306 0.451 0.001
H14 0.356 0.536 0.474
H15 0.422 0.727 0.960
H16 0.442 0.835 0.323
H17 0.461 0.138 0.987
H18 0.463 0.997 0.209
H19 0.485 0.301 0.875
C1 0.004 0.316 0.257
C2 0.068 0.301 0.666
C3 0.211 0.080 0.574
C4 0.217 0.452 0.083
C5 0.381 0.918 0.256
C6 0.459 0.776 0.047
S1 0.148 0.278 0.129
S2 0.163 0.140 0.734
S3 0.286 0.840 0.126
S4 0.443 0.637 0.638
O1 0.028 0.046 0.795
O2 0.054 0.246 0.007
O3 0.230 0.963 0.020
O4 0.327 0.625 0.512
O5 0.395 0.390 0.416
O6 0.397 0.531 0.751
O7 0.420 0.779 0.664
```



Question: Which of these has the lowest total magnetic moment?
Answer: Zr2Cu3Sb3